Na2Tl after structural relaxation, computed with PBE-GGA.

Structure (POSCAR):
```
Na2Tl
1.0
4.5030 -7.0663 0.0000
4.5030 7.0663 0.0000
0.0000 0.0000 11.8068
Na Tl
16 8
Cartesian
3.7035 5.1933 0.9700 Na
4.5030 6.0679 8.8551 Na
2.7536 2.8860 3.8689 Na
2.5185 1.7408 0.4766 Na
5.3025 5.1933 4.9334 Na
2.5185 -1.7408 11.3302 Na
3.6632 0.0000 5.9034 Na
6.2524 2.8860 2.0345 Na
2.7536 -2.8860 7.9379 Na
5.3428 0.0000 0.0000 Na
6.4875 1.7408 5.4268 Na
3.7035 -5.1933 10.8369 Na
6.4875 -1.7408 6.3800 Na
6.2524 -2.8860 9.7723 Na
4.5030 -6.0679 2.9517 Na
5.3025 -5.1933 6.8734 Na
4.0676 3.0665 7.2675 Tl
2.8951 0.6637 9.1764 Tl
4.9384 3.0665 10.4428 Tl
2.8951 -0.6637 2.6305 Tl
6.1109 0.6637 8.5339 Tl
4.0676 -3.0665 4.5394 Tl
6.1109 -0.6637 3.2730 Tl
4.9384 -3.0665 1.3641 Tl
```

Output
Formation energy from the elements = -0.1121 eV/atom
Space group = C222_1, No. 20